Material: CaMg149
Method: DFT, meta-GGA r2SCAN
State: relaxed

Unit cell a=15.890 b=15.890 c=15.470 alpha=90.00 beta=90.00 gamma=120.00
Fractional positions:
Ca  0.000  0.000  0.000
Mg  0.600  0.200  0.000
Mg  0.402  0.201  0.000
Mg  0.799  0.201  0.000
Mg  0.002  0.206  0.000
Mg  0.205  0.206  0.000
Mg  0.600  0.400  0.000
Mg  0.800  0.400  0.000
Mg  0.000  0.402  0.000
Mg  0.401  0.402  0.000
Mg  0.201  0.402  0.000
Mg  0.799  0.598  0.000
Mg  0.000  0.599  0.000
Mg  0.598  0.599  0.000
Mg  0.201  0.600  0.000
Mg  0.400  0.600  0.000
Mg  0.794  0.795  0.000
Mg  0.002  0.795  0.000
Mg  0.598  0.799  0.000
Mg  0.201  0.799  0.000
Mg  0.400  0.799  0.000
Mg  0.794  0.998  0.000
Mg  0.205  0.998  0.000
Mg  0.401  0.000  0.000
Mg  0.598  0.000  0.000
Mg  0.264  0.132  0.166
Mg  0.868  0.132  0.166
Mg  0.868  0.736  0.166
Mg  0.667  0.333  0.167
Mg  0.467  0.133  0.167
Mg  0.667  0.133  0.167
Mg  0.467  0.333  0.167
Mg  0.867  0.333  0.167
Mg  0.667  0.533  0.167
Mg  0.867  0.533  0.167
Mg  0.067  0.533  0.167
Mg  0.467  0.533  0.167
Mg  0.467  0.933  0.167
Mg  0.267  0.534  0.167
Mg  0.466  0.733  0.167
Mg  0.267  0.733  0.167
Mg  0.268  0.336  0.168
Mg  0.067  0.336  0.168
Mg  0.664  0.732  0.168
Mg  0.067  0.732  0.168
Mg  0.268  0.933  0.168
Mg  0.664  0.933  0.168
Mg  0.069  0.138  0.170
Mg  0.862  0.931  0.170
Mg  0.069  0.931  0.170
Mg  0.400  0.200  0.334
Mg  0.800  0.200  0.334
Mg  0.800  0.600  0.334
Mg  0.600  0.200  0.334
Mg  0.800  0.400  0.334
Mg  0.600  0.400  0.334
Mg  0.400  0.000  0.334
Mg  0.600  0.000  0.334
Mg  0.400  0.400  0.334
Mg  0.000  0.400  0.334
Mg  0.000  0.600  0.334
Mg  0.600  0.600  0.334
Mg  0.200  0.600  0.334
Mg  0.400  0.600  0.334
Mg  0.400  0.800  0.334
Mg  0.200  0.400  0.334
Mg  0.600  0.800  0.334
Mg  0.200  0.800  0.334
Mg  0.800  0.000  0.334
Mg  0.200  0.000  0.334
Mg  0.000  0.200  0.334
Mg  0.200  0.200  0.334
Mg  0.000  0.800  0.334
Mg  0.800  0.800  0.334
Mg  0.000  0.000  0.334
Mg  0.067  0.133  0.500
Mg  0.867  0.133  0.500
Mg  0.267  0.133  0.500
Mg  0.467  0.133  0.500
Mg  0.667  0.133  0.500
Mg  0.467  0.333  0.500
Mg  0.867  0.333  0.500
Mg  0.667  0.333  0.500
Mg  0.267  0.333  0.500
Mg  0.067  0.333  0.500
Mg  0.867  0.533  0.500
Mg  0.667  0.533  0.500
Mg  0.067  0.533  0.500
Mg  0.467  0.533  0.500
Mg  0.267  0.533  0.500
Mg  0.867  0.733  0.500
Mg  0.667  0.733  0.500
Mg  0.067  0.733  0.500
Mg  0.467  0.733  0.500
Mg  0.267  0.733  0.500
Mg  0.267  0.933  0.500
Mg  0.667  0.933  0.500
Mg  0.867  0.933  0.500
Mg  0.067  0.933  0.500
Mg  0.467  0.933  0.500
Mg  0.000  0.000  0.666
Mg  0.800  0.000  0.666
Mg  0.200  0.000  0.666
Mg  0.000  0.200  0.666
Mg  0.200  0.200  0.666
Mg  0.000  0.800  0.666
Mg  0.800  0.800  0.666
Mg  0.200  0.400  0.666
Mg  0.600  0.800  0.666
Mg  0.200  0.800  0.666
Mg  0.200  0.600  0.666
Mg  0.400  0.600  0.666
Mg  0.400  0.800  0.666
Mg  0.400  0.000  0.666
Mg  0.600  0.000  0.666
Mg  0.400  0.400  0.666
Mg  0.000  0.400  0.666
Mg  0.000  0.600  0.666
Mg  0.600  0.600  0.666
Mg  0.600  0.200  0.666
Mg  0.800  0.400  0.666
Mg  0.600  0.400  0.666
Mg  0.400  0.200  0.666
Mg  0.800  0.200  0.666
Mg  0.800  0.600  0.666
Mg  0.069  0.138  0.830
Mg  0.862  0.931  0.830
Mg  0.069  0.931  0.830
Mg  0.268  0.336  0.832
Mg  0.067  0.336  0.832
Mg  0.664  0.732  0.832
Mg  0.067  0.732  0.832
Mg  0.268  0.933  0.832
Mg  0.664  0.933  0.832
Mg  0.267  0.534  0.833
Mg  0.466  0.733  0.833
Mg  0.267  0.733  0.833
Mg  0.067  0.533  0.833
Mg  0.467  0.533  0.833
Mg  0.467  0.933  0.833
Mg  0.467  0.133  0.833
Mg  0.667  0.133  0.833
Mg  0.467  0.333  0.833
Mg  0.867  0.333  0.833
Mg  0.667  0.533  0.833
Mg  0.867  0.533  0.833
Mg  0.667  0.333  0.833
Mg  0.264  0.132  0.834
Mg  0.868  0.132  0.834
Mg  0.868  0.736  0.834

Summary:
space group = No. 187
energy relative to the elements = 0.8 kJ/mol of atoms
electronic total energy = -626.991 eV per cell